# FePO4 (GGA+U, optimized geometry)
# Uncorrected energy (eV per atom): -7.102
# Total energy after the MP2020 corrections (eV per cell): -571.41
# DFT formation energy (eV per atom): -2.32
data_FePO4
_chemical_formula_sum 'Fe12 P12 O48'
_cell_length_a 9.112
_cell_length_b 8.510
_cell_length_c 18.260
_cell_angle_alpha 90.00
_cell_angle_beta 119.89
_cell_angle_gamma 90.00
_symmetry_space_group_name_H-M 'P 1 21/c 1'
_symmetry_Int_Tables_number 14
_symmetry_space_group_name_Hall '-P 2ybc'
loop_
_atom_site_label
_atom_site_type_symbol
_atom_site_fract_x
_atom_site_fract_y
_atom_site_fract_z
_atom_site_occupancy
Fe1 Fe 0.025 0.209 0.423 1
Fe2 Fe 0.315 0.211 0.239 1
Fe3 Fe 0.344 0.707 0.405 1
P1 P 0.026 0.670 0.919 1
P2 P 0.319 0.666 0.735 1
P3 P 0.340 0.172 0.909 1
O1 O 0.046 0.743 0.498 1
O2 O 0.100 0.502 0.943 1
O3 O 0.120 0.737 0.382 1
O4 O 0.156 0.734 0.188 1
O5 O 0.165 0.159 0.648 1
O6 O 0.206 0.160 0.938 1
O7 O 0.270 0.227 0.328 1
O8 O 0.280 0.003 0.199 1
O9 O 0.379 0.664 0.831 1
O10 O 0.382 0.005 0.890 1
O11 O 0.457 0.738 0.720 1
O12 O 0.497 0.748 0.020 1